1.
# ZrP2S7

A relaxed ZrP2S7 crystal (r2SCAN, the Materials Project database).

Calculated volume   1007.6 Å³ per cell
ΔE_f   -741.7 meV per atom
Space-group type   Fddd (70)
Energy   -10.441 eV/atom

The structure in CIF format:
```
data_ZrP2S7
_symmetry_space_group_name_H-M 'P 1'
_symmetry_Int_Tables_number 1
_cell_length_a 16.759
_cell_length_b 15.640
_cell_length_c 8.741
_cell_angle_alpha 81.54
_cell_angle_beta 67.36
_cell_angle_gamma 31.06
loop_
_symmetry_equiv_pos_as_xyz
'x,y,z'
loop_
_atom_site_label
_atom_site_fract_x
_atom_site_fract_y
_atom_site_fract_z
Zr1 0.889 0.889 0.111
Zr2 0.361 0.361 0.139
Zr3 0.111 0.111 0.889
Zr4 0.139 0.139 0.361
P1 0.750 0.135 0.867
P2 0.135 0.750 0.248
P3 0.500 0.115 0.383
P4 0.115 0.500 0.002
P5 0.384 0.002 0.500
P6 0.002 0.383 0.115
P7 0.866 0.248 0.750
P8 0.248 0.867 0.135
S1 0.727 0.274 0.727
S2 0.110 0.246 0.647
S3 0.004 0.141 0.253
S4 0.140 0.004 0.603
S5 0.956 0.441 0.357
S6 0.441 0.956 0.246
S7 0.294 0.809 0.893
S8 0.809 0.294 0.004
S9 0.837 0.451 0.098
S10 0.246 0.109 0.997
S11 0.413 0.799 0.152
S12 0.799 0.413 0.636
S13 0.098 0.614 0.837
S14 0.614 0.098 0.451
S15 0.152 0.636 0.413
S16 0.636 0.152 0.799
S17 0.357 0.246 0.956
S18 0.246 0.357 0.441
S19 0.893 0.004 0.294
S20 0.004 0.893 0.809
S21 0.998 0.647 0.246
S22 0.647 0.998 0.109
S23 0.252 0.603 0.004
S24 0.603 0.252 0.141
S25 0.523 0.976 0.523
S26 0.977 0.523 0.976
S27 0.451 0.837 0.614
S28 0.273 0.727 0.274
```


2.
# F

A relaxed F crystal (r2SCAN, the Materials Project database).

Calculated volume   52.4 Å³ per cell
ΔE_f   309.5 meV per atom
Space-group type   C2/c (15)
Energy relative to the lowest polymorph listed for this composition   0.310 eV/atom
Energy   -2.817 eV/atom

The structure in CIF format:
```
data_F
_symmetry_space_group_name_H-M 'P 1'
_symmetry_Int_Tables_number 1
_cell_length_a 3.378
_cell_length_b 3.378
_cell_length_c 6.078
_cell_angle_alpha 67.66
_cell_angle_beta 67.66
_cell_angle_gamma 56.96
loop_
_symmetry_equiv_pos_as_xyz
'x,y,z'
loop_
_atom_site_label
_atom_site_fract_x
_atom_site_fract_y
_atom_site_fract_z
F1 0.831 0.643 0.290
F2 0.357 0.169 0.210
F3 0.169 0.357 0.710
F4 0.643 0.831 0.790
```


3.
# S2I2O11

A relaxed S2I2O11 crystal (r2SCAN, the Materials Project database).

Calculated volume   874.8 Å³ per cell
ΔE_f   -779.6 meV per atom
Space-group type   Pna2_1 (33)
Energy   -9.505 eV/atom

The structure in CIF format:
```
data_S2I2O11
_symmetry_space_group_name_H-M 'P 1'
_symmetry_Int_Tables_number 1
_cell_length_a 4.564
_cell_length_b 10.510
_cell_length_c 18.235
_cell_angle_alpha 90.00
_cell_angle_beta 90.00
_cell_angle_gamma 90.00
loop_
_symmetry_equiv_pos_as_xyz
'x,y,z'
loop_
_atom_site_label
_atom_site_fract_x
_atom_site_fract_y
_atom_site_fract_z
S1 0.017 0.186 0.153
S2 0.983 0.686 0.847
S3 0.517 0.686 0.347
S4 0.483 0.186 0.653
S5 0.031 0.438 0.098
S6 0.969 0.938 0.902
S7 0.531 0.938 0.402
S8 0.469 0.438 0.598
I1 0.195 0.373 0.301
I2 0.805 0.873 0.699
I3 0.695 0.873 0.199
I4 0.305 0.373 0.801
I5 0.282 0.249 0.452
I6 0.718 0.749 0.548
I7 0.782 0.749 0.048
I8 0.218 0.249 0.952
O1 0.814 0.388 0.295
O2 0.186 0.888 0.705
O3 0.314 0.888 0.205
O4 0.686 0.388 0.795
O5 0.666 0.248 0.454
O6 0.334 0.748 0.546
O7 0.166 0.748 0.046
O8 0.834 0.248 0.954
O9 0.233 0.208 0.346
O10 0.767 0.708 0.654
O11 0.733 0.708 0.154
O12 0.267 0.208 0.846
O13 0.224 0.414 0.408
O14 0.776 0.914 0.592
O15 0.724 0.914 0.092
O16 0.276 0.414 0.908
O17 0.235 0.237 0.205
O18 0.765 0.737 0.795
O19 0.735 0.737 0.295
O20 0.265 0.237 0.705
O21 0.787 0.115 0.187
O22 0.213 0.615 0.813
O23 0.287 0.615 0.313
O24 0.713 0.115 0.687
O25 0.155 0.131 0.090
O26 0.845 0.631 0.910
O27 0.655 0.631 0.410
O28 0.345 0.131 0.590
O29 0.841 0.314 0.124
O30 0.159 0.814 0.876
O31 0.341 0.814 0.376
O32 0.659 0.314 0.624
O33 0.161 0.493 0.162
O34 0.839 0.993 0.838
O35 0.661 0.993 0.338
O36 0.339 0.493 0.662
O37 0.811 0.511 0.060
O38 0.189 0.011 0.940
O39 0.311 0.011 0.440
O40 0.689 0.511 0.560
O41 0.255 0.385 0.048
O42 0.745 0.885 0.952
O43 0.755 0.885 0.452
O44 0.245 0.385 0.548
```


4.
# Li3Mn4B4O12

A relaxed Li3Mn4B4O12 crystal (r2SCAN, the Materials Project database).

Calculated volume   475.6 Å³ per cell
ΔE_f   -2360.9 meV per atom
Space-group type   P-1 (2)
Energy   -9.620 eV/atom

The structure in CIF format:
```
data_Li3Mn4B4O12
_symmetry_space_group_name_H-M 'P 1'
_symmetry_Int_Tables_number 1
_cell_length_a 5.207
_cell_length_b 6.043
_cell_length_c 15.377
_cell_angle_alpha 79.74
_cell_angle_beta 87.62
_cell_angle_gamma 88.54
loop_
_symmetry_equiv_pos_as_xyz
'x,y,z'
loop_
_atom_site_label
_atom_site_fract_x
_atom_site_fract_y
_atom_site_fract_z
Li1 0.331 0.620 0.533
Li2 0.158 0.887 0.228
Li3 0.669 0.380 0.467
Li4 0.677 0.375 0.970
Li5 0.842 0.113 0.772
Li6 0.323 0.625 0.030
Mn1 0.838 0.835 0.459
Mn2 0.162 0.165 0.541
Mn3 0.169 0.169 0.041
Mn4 0.657 0.680 0.283
Mn5 0.831 0.831 0.959
Mn6 0.326 0.322 0.218
Mn7 0.343 0.320 0.717
Mn8 0.674 0.678 0.782
B1 0.328 0.966 0.379
B2 0.168 0.512 0.374
B3 0.672 0.034 0.621
B4 0.670 0.007 0.124
B5 0.826 0.504 0.128
B6 0.832 0.488 0.626
B7 0.330 0.993 0.876
B8 0.174 0.496 0.872
O1 0.094 0.451 0.618
O2 0.230 0.905 0.466
O3 0.688 0.584 0.557
O4 0.770 0.095 0.534
O5 0.906 0.549 0.382
O6 0.578 0.890 0.362
O7 0.824 0.892 0.187
O8 0.312 0.416 0.443
O9 0.778 0.092 0.041
O10 0.288 0.595 0.292
O11 0.411 0.043 0.142
O12 0.323 0.414 0.943
O13 0.183 0.080 0.315
O14 0.084 0.454 0.116
O15 0.222 0.908 0.959
O16 0.706 0.452 0.212
O17 0.176 0.108 0.813
O18 0.677 0.586 0.057
O19 0.916 0.546 0.884
O20 0.589 0.957 0.858
O21 0.712 0.405 0.708
O22 0.817 0.920 0.685
O23 0.294 0.548 0.788
O24 0.422 0.110 0.638
```


5.
# Ba2YbMgNbO6

A relaxed Ba2YbMgNbO6 crystal (r2SCAN, the Materials Project database).

Calculated volume   167.0 Å³ per cell
ΔE_f   -2728.1 meV per atom
Space-group type   Immm (71)
Energy relative to the lowest polymorph listed for this composition   0.000 eV/atom
Energy   -16.752 eV/atom

The structure in CIF format:
```
data_Ba2YbMgNbO6
_symmetry_space_group_name_H-M 'P 1'
_symmetry_Int_Tables_number 1
_cell_length_a 6.267
_cell_length_b 6.267
_cell_length_c 5.885
_cell_angle_alpha 62.00
_cell_angle_beta 62.00
_cell_angle_gamma 59.16
loop_
_symmetry_equiv_pos_as_xyz
'x,y,z'
loop_
_atom_site_label
_atom_site_fract_x
_atom_site_fract_y
_atom_site_fract_z
Ba1 0.808 0.808 0.692
Ba2 0.192 0.192 0.308
Yb1 0.500 0.500 0.500
Mg1 0.500 0.500 0.000
Nb1 0.000 0.000 0.000
O1 0.267 0.733 0.769
O2 0.267 0.733 0.231
O3 0.733 0.267 0.769
O4 0.241 0.241 0.759
O5 0.733 0.267 0.231
O6 0.759 0.759 0.241
```


6.
# Zr3Cd

A relaxed Zr3Cd crystal (r2SCAN, the Materials Project database).

Calculated volume   88.6 Å³ per cell
ΔE_f   -81.8 meV per atom
Space-group type   I4/mmm (139)
Energy   -22.170 eV/atom

The structure in CIF format:
```
data_Zr3Cd
_symmetry_space_group_name_H-M 'P 1'
_symmetry_Int_Tables_number 1
_cell_length_a 5.558
_cell_length_b 5.558
_cell_length_c 5.558
_cell_angle_alpha 133.56
_cell_angle_beta 133.56
_cell_angle_gamma 67.77
loop_
_symmetry_equiv_pos_as_xyz
'x,y,z'
loop_
_atom_site_label
_atom_site_fract_x
_atom_site_fract_y
_atom_site_fract_z
Zr1 0.750 0.250 0.500
Zr2 0.250 0.750 0.500
Zr3 0.500 0.500 0.000
Cd1 0.000 0.000 0.000
```